No. 1
K2ReF8: relaxed, PBE.

a = 6.0023 Å, b = 8.8703 Å, c = 12.7572 Å
α = 90.00°, β = 90.00°, γ = 90.00°
With the nearest neighbours (Å) after each atom.
Positions (direct):
K1 0.2500 0.0487 0.2097  11 F 2.81-3.10
K2 0.7500 0.9513 0.7903  11 F 2.81-3.10
K3 0.2500 0.5487 0.2903  11 F 2.81-3.10
K4 0.7500 0.4513 0.7097  11 F 2.81-3.10
K5 0.2500 0.1696 0.5596  8 F 2.72-2.93
K6 0.7500 0.8304 0.4404  8 F 2.72-2.93
K7 0.2500 0.6696 0.9404  8 F 2.72-2.93
K8 0.7500 0.3304 0.0596  8 F 2.72-2.93
Re1 0.2500 0.2184 0.8769  8 F 1.95-1.99
Re2 0.7500 0.7816 0.1231  8 F 1.95-1.99
Re3 0.2500 0.7184 0.6231  8 F 1.95-1.99
Re4 0.7500 0.2816 0.3769  8 F 1.95-1.99
F1 0.2500 0.7692 0.4717  1 Re 1.98
F2 0.7500 0.2308 0.5283  1 Re 1.98
F3 0.2500 0.2692 0.0283  1 Re 1.98
F4 0.7500 0.7308 0.9717  1 Re 1.98
F5 0.2500 0.0041 0.8403  1 Re 1.96
F6 0.7500 0.9959 0.1597  1 Re 1.96
F7 0.2500 0.5041 0.6597  1 Re 1.96
F8 0.7500 0.4959 0.3403  1 Re 1.96
F9 0.0241 0.8648 0.0657  1 Re 1.95
F10 0.5241 0.1352 0.9343  1 Re 1.95
F11 0.4759 0.3648 0.4343  1 Re 1.95
F12 0.9759 0.6352 0.5657  1 Re 1.95
F13 0.5512 0.1031 0.3853  1 Re 1.98
F14 0.0512 0.8969 0.6147  1 Re 1.98
F15 0.9488 0.6031 0.1147  1 Re 1.98
F16 0.4488 0.3969 0.8853  1 Re 1.98
F17 0.4488 0.8969 0.6147  1 Re 1.98
F18 0.9488 0.1031 0.3853  1 Re 1.98
F19 0.0512 0.3969 0.8853  1 Re 1.98
F20 0.5512 0.6031 0.1147  1 Re 1.98
F21 0.5507 0.2906 0.2526  1 Re 1.99
F22 0.0507 0.7094 0.7474  1 Re 1.99
F23 0.9493 0.7906 0.2474  1 Re 1.99
F24 0.4493 0.2094 0.7526  1 Re 1.99
F25 0.4493 0.7094 0.7474  1 Re 1.99
F26 0.9493 0.2906 0.2526  1 Re 1.99
F27 0.0507 0.2094 0.7526  1 Re 1.99
F28 0.5507 0.7906 0.2474  1 Re 1.99
F29 0.0241 0.3648 0.4343  1 Re 1.95
F30 0.5241 0.6352 0.5657  1 Re 1.95
F31 0.4759 0.8648 0.0657  1 Re 1.95
F32 0.9759 0.1352 0.9343  1 Re 1.95

Its space group is No. 62. The calculation puts the formation energy at -2.785 eV per atom. As for the energy: -56.9 eV/f.u.

=====

No. 2
Sm6InFe13: relaxed, PBE.

a = 12.8725 Å, b = 12.8725 Å, c = 12.8725 Å
α = 143.80°, β = 143.80°, γ = 52.12°
With the nearest neighbours (Å) after each atom.
Positions (direct):
Sm1 0.6047 0.6047 0.0000  12 Fe 2.99-3.23
Sm2 0.1047 0.1047 0.0000  12 Fe 2.99-3.23
Sm3 0.3953 0.3953 0.0000  12 Fe 2.99-3.23
Sm4 0.8953 0.8953 0.0000  12 Fe 2.99-3.23
Sm5 0.4783 0.9783 0.8265  3 Fe 2.91-3.06
Sm6 0.1519 0.6519 0.1735  3 Fe 2.91-3.06
Sm7 0.9783 0.1519 0.5000  3 Fe 2.91-3.06
Sm8 0.6519 0.4783 0.5000  3 Fe 2.91-3.06
Sm9 0.5217 0.0217 0.1735  3 Fe 2.91-3.06
Sm10 0.8481 0.3481 0.8265  3 Fe 2.91-3.06
Sm11 0.0217 0.8481 0.5000  3 Fe 2.91-3.06
Sm12 0.3481 0.5217 0.5000  3 Fe 2.91-3.06
In1 0.2500 0.2500 0.0000  10 Sm 3.35-3.36
In2 0.7500 0.7500 0.0000  10 Sm 3.35-3.36
Fe1 0.5000 0.0000 0.5000  12 Fe 2.38-2.54
Fe2 0.0000 0.5000 0.5000  12 Fe 2.38-2.54
Fe3 0.5660 0.7097 0.2757  10 Fe 2.38-2.64
Fe4 0.4340 0.2903 0.7243  10 Fe 2.38-2.64
Fe5 0.0660 0.7903 0.8563  10 Fe 2.38-2.64
Fe6 0.9340 0.2097 0.1437  10 Fe 2.38-2.64
Fe7 0.2903 0.5660 0.8563  10 Fe 2.38-2.64
Fe8 0.7097 0.4340 0.1437  10 Fe 2.38-2.64
Fe9 0.2097 0.0660 0.2757  10 Fe 2.38-2.64
Fe10 0.7903 0.9340 0.7243  10 Fe 2.38-2.64
Fe11 0.6199 0.1199 0.8582  8 Fe 2.45-2.55
Fe12 0.2617 0.7617 0.1418  8 Fe 2.45-2.55
Fe13 0.1199 0.2617 0.5000  8 Fe 2.45-2.55
Fe14 0.7617 0.6199 0.5000  8 Fe 2.45-2.55
Fe15 0.3801 0.8801 0.1418  8 Fe 2.45-2.55
Fe16 0.7383 0.2383 0.8582  8 Fe 2.45-2.55
Fe17 0.8801 0.7383 0.5000  8 Fe 2.45-2.55
Fe18 0.2383 0.3801 0.5000  8 Fe 2.45-2.55
Fe19 0.7918 0.2918 0.2732  7 Fe 2.49-2.64
Fe20 0.0185 0.5185 0.7268  7 Fe 2.49-2.64
Fe21 0.2918 0.0185 0.5000  7 Fe 2.49-2.64
Fe22 0.5185 0.7918 0.5000  7 Fe 2.49-2.64
Fe23 0.2082 0.7082 0.7268  7 Fe 2.49-2.64
Fe24 0.9815 0.4815 0.2732  7 Fe 2.49-2.64
Fe25 0.7082 0.9815 0.5000  7 Fe 2.49-2.64
Fe26 0.4815 0.2082 0.5000  7 Fe 2.49-2.64

Its space group is No. 140. The calculation puts the formation energy at -0.069 eV per atom. As for the energy: -142.5 eV/f.u.

=====

No. 3
Zr12Si2Bi2P16PbO72: relaxed, PBE.

a = 8.9987 Å, b = 9.2995 Å, c = 22.1103 Å
α = 91.36°, β = 89.94°, γ = 118.91°
With the nearest neighbours (Å) after each atom.
Positions (direct):
Zr1 0.8160 0.6310 0.0468  6 O 1.99-2.19
Zr2 0.5355 0.0727 0.1168  4 O 2.01-2.19
Zr3 0.4830 0.9673 0.3798  6 O 1.98-2.17
Zr4 0.2040 0.4068 0.4496  6 O 2.02-2.26
Zr5 0.1329 0.2634 0.2156  3 O 1.96-2.07
Zr6 0.1468 0.2948 0.7138  6 O 2.07-2.13
Zr7 0.8561 0.7020 0.2866  6 O 2.02-2.15
Zr8 0.8681 0.7334 0.7820  6 O 2.03-2.18
Zr9 0.8008 0.5982 0.5480  3 O 1.96-2.07
Zr10 0.5242 0.0389 0.6192  6 O 2.02-2.15
Zr11 0.4652 0.9335 0.8840  6 O 2.03-2.17
Zr12 0.1851 0.3714 0.9527  6 O 2.07-2.13
Si1 0.0990 0.8948 0.1572  4 O 1.61-1.69
Si2 0.7670 0.2307 0.4896  4 O 1.61-1.68
Bi1 0.3354 0.6811 0.1665  4 O 2.27-2.51
Bi2 0.0012 0.0140 0.4998  5 O 2.29-2.52
P1 0.7076 0.9845 0.2478  4 O 1.52-1.59
P2 0.5112 0.7521 0.0154  4 O 1.53-1.59
P3 0.5662 0.4363 0.1774  4 O 1.53-1.57
P4 0.1533 0.5795 0.3177  4 O 1.52-1.58
P5 0.3750 0.3207 0.5819  4 O 1.52-1.59
P6 0.9611 0.3458 0.0851  4 O 1.53-1.58
P7 0.1772 0.0865 0.3486  4 O 1.53-1.59
P8 0.2340 0.7719 0.5102  4 O 1.53-1.57
P9 0.8205 0.9139 0.6511  4 O 1.53-1.58
P10 0.0402 0.6552 0.9139  4 O 1.53-1.56
P11 0.6282 0.6813 0.4186  4 O 1.52-1.58
P12 0.8492 0.4238 0.6806  4 O 1.53-1.57
P13 0.4325 0.5660 0.8232  4 O 1.54-1.56
P14 0.9005 0.1000 0.8436  4 O 1.54-1.56
P15 0.4823 0.2430 0.9854  4 O 1.52-1.56
P16 0.2926 0.0102 0.7518  4 O 1.52-1.57
Pb1 0.6668 0.3335 0.8321  6 O 2.57-2.63
O1 0.7909 0.1929 0.1019  1 P 1.56
O2 0.5312 0.2560 0.1661  1 P 1.56
O3 0.4630 0.1287 0.0391  1 P 1.56
O4 0.6311 0.0296 0.3018  1 P 1.53
O5 0.5785 0.9365 0.1920  1 P 1.59
O6 0.7311 0.8353 0.2581  1 P 1.52
O7 0.6761 0.7439 0.0202  1 P 1.53
O8 0.4824 0.8236 0.0775  1 P 1.59
O9 0.2835 0.8920 0.1477  1 Si 1.69
O10 0.6755 0.5035 0.2348  1 P 1.53
O11 0.6475 0.5381 0.1217  1 P 1.53
O12 0.3040 0.7503 0.3283  1 P 1.52
O13 0.3556 0.5831 0.0047  1 P 1.53
O14 0.4598 0.5289 0.4375  1 P 1.56
O15 0.0143 0.7844 0.2157  1 Si 1.62
O16 0.9853 0.8223 0.0963  1 Si 1.61
O17 0.3930 0.4351 0.1878  1 P 1.57
O18 0.1966 0.5913 0.4976  1 P 1.56
O19 0.1820 0.5108 0.2555  1 P 1.58
O20 0.1438 0.4615 0.3685  1 P 1.56
O21 0.9825 0.5782 0.3161  1 P 1.53
O22 0.2999 0.3634 0.6373  1 P 1.53
O23 0.9347 0.4939 0.0754  1 P 1.53
O24 0.2451 0.2750 0.5268  1 P 1.59
O25 0.0899 0.3924 0.1397  1 P 1.58
O26 0.3976 0.1704 0.5911  1 P 1.52
O27 0.0328 0.3013 0.0292  1 P 1.53
O28 0.3440 0.0809 0.3520  1 P 1.53
O29 0.1894 0.2050 0.2984  1 P 1.55
O30 0.1526 0.1601 0.4110  1 P 1.59
O31 0.1427 0.0856 0.1696  1 Si 1.64
O32 0.9511 0.2275 0.4802  1 Si 1.68
O33 0.3430 0.8372 0.5677  1 P 1.53
O34 0.3163 0.8756 0.4549  1 P 1.53
O35 0.8744 0.1372 0.2299  1 P 1.55
O36 0.9726 0.0850 0.6631  1 P 1.53
O37 0.0221 0.9167 0.3398  1 P 1.53
O38 0.1205 0.8578 0.7655  1 P 1.55
O39 0.6820 0.1211 0.5482  1 Si 1.62
O40 0.6533 0.1574 0.4288  1 Si 1.61
O41 0.0609 0.7713 0.5205  1 P 1.57
O42 0.8726 0.9243 0.8312  1 P 1.55
O43 0.8527 0.8493 0.5886  1 P 1.58
O44 0.8071 0.7944 0.7009  1 P 1.55
O45 0.6519 0.9165 0.6485  1 P 1.53
O46 0.9621 0.6926 0.9695  1 P 1.53
O47 0.5991 0.8275 0.4078  1 P 1.53
O48 0.9201 0.6207 0.8582  1 P 1.56
O49 0.7580 0.7324 0.4736  1 P 1.58
O50 0.0633 0.5035 0.9223  1 P 1.54
O51 0.6991 0.6336 0.3638  1 P 1.52
O52 0.0142 0.4140 0.6866  1 P 1.54
O53 0.8664 0.5380 0.6280  1 P 1.55
O54 0.8240 0.5033 0.7403  1 P 1.57
O55 0.8084 0.4213 0.5008  1 Si 1.64
O56 0.6086 0.5764 0.8116  1 P 1.56
O57 0.0127 0.1730 0.9004  1 P 1.54
O58 0.9797 0.2076 0.7885  1 P 1.54
O59 0.5428 0.4734 0.5648  1 P 1.55
O60 0.6378 0.4110 0.9953  1 P 1.52
O61 0.6934 0.2539 0.6720  1 P 1.53
O62 0.3537 0.4596 0.8787  1 P 1.54
O63 0.3198 0.4924 0.7666  1 P 1.54
O64 0.7243 0.0893 0.8553  1 P 1.56
O65 0.5068 0.1610 0.9266  1 P 1.56
O66 0.3171 0.2521 0.9798  1 P 1.53
O67 0.2687 0.1620 0.7442  1 P 1.54
O68 0.4134 0.0446 0.8077  1 P 1.57
O69 0.3686 0.9722 0.6961  1 P 1.52
O70 0.5289 0.8717 0.9653  1 P 1.54
O71 0.4605 0.7418 0.8354  1 P 1.55
O72 0.2125 0.8079 0.9013  1 P 1.55

Its space group is No. 1. The calculation puts the formation energy at -3.122 eV per atom. As for the energy: -846.1 eV/f.u.

=====

No. 4
Zr3Sn: relaxed, PBE.

a = 5.1484 Å, b = 5.7250 Å, c = 6.1281 Å
α = 90.00°, β = 90.00°, γ = 90.00°
With the nearest neighbours (Å) after each atom.
Positions (direct):
Zr1 0.0000 0.6484 0.2500  8 Zr 3.06-3.32, 4 Sn 3.15-3.34
Zr2 0.0000 0.1342 0.5000  4 Sn 3.07-3.10, 8 Zr 3.17-3.32
Zr3 0.0000 0.6484 0.7500  8 Zr 3.06-3.32, 4 Sn 3.15-3.34
Zr4 0.5000 0.8658 0.0000  4 Sn 3.07-3.10, 8 Zr 3.17-3.32
Zr5 0.5000 0.3516 0.2500  8 Zr 3.06-3.32, 4 Sn 3.15-3.34
Zr6 0.5000 0.3516 0.7500  8 Zr 3.06-3.32, 4 Sn 3.15-3.34
Sn1 0.0000 0.1667 0.0000  12 Zr 3.07-3.34
Sn2 0.5000 0.8333 0.5000  12 Zr 3.07-3.34

Its space group is No. 59. The calculation puts the formation energy at -0.345 eV per atom. As for the energy: -31.0 eV/f.u.

=====

No. 5
EuGe3Pt: relaxed, PBE.

a = 4.5032 Å, b = 4.5032 Å, c = 5.9963 Å
α = 112.05°, β = 112.05°, γ = 90.00°
With the nearest neighbours (Å) after each atom.
Positions (direct):
Eu1 0.9989 0.9989 0.9977  12 Ge 3.32-3.46, 5 Pt 3.52-3.57
Ge1 0.7572 0.2572 0.5144  2 Pt 2.51, 2 Ge 2.71
Ge2 0.2572 0.7572 0.5144  2 Pt 2.51, 2 Ge 2.71
Ge3 0.4051 0.4051 0.8102  1 Pt 2.46, 4 Ge 2.71
Pt1 0.6474 0.6474 0.2948  5 Ge 2.46-2.51

Its space group is No. 107. The calculation puts the formation energy at -0.655 eV per atom. As for the energy: -33.5 eV/f.u.

=====

No. 6
LiZrSc: relaxed, PBE.

a = 4.8141 Å, b = 4.8141 Å, c = 4.8141 Å
α = 60.00°, β = 60.00°, γ = 60.00°
With the nearest neighbours (Å) after each atom.
Positions (direct):
Li1 0.0000 0.0000 0.0000  4 Zr 2.95
Zr1 0.7500 0.7500 0.7500  4 Li 2.95, 4 Sc 2.95
Sc1 0.5000 0.5000 0.5000  4 Zr 2.95

Its space group is No. 216. The calculation puts the formation energy at 1.122 eV per atom. As for the energy: -13.4 eV/f.u.

=====

No. 7
ErAlSi: relaxed, PBE.

a = 5.4871 Å, b = 5.4871 Å, c = 5.6469 Å
α = 90.00°, β = 90.00°, γ = 137.22°
With the nearest neighbours (Å) after each atom.
Positions (direct):
Er1 0.6926 0.3074 0.2500  5 Si 2.90-3.02, 4 Al 3.14
Er2 0.3074 0.6926 0.7500  5 Si 2.90-3.02, 4 Al 3.14
Al1 0.0000 0.0000 0.0000  4 Si 2.66, 2 Al 2.82
Al2 0.0000 0.0000 0.5000  4 Si 2.66, 2 Al 2.82
Si1 0.3974 0.6026 0.2500  4 Al 2.66, 4 Er 2.90-2.97
Si2 0.6026 0.3974 0.7500  4 Al 2.66, 4 Er 2.90-2.97

Its space group is No. 63. The calculation puts the formation energy at -0.589 eV per atom. As for the energy: -15.6 eV/f.u.

=====

No. 8
KTaCl6: relaxed, PBE.

a = 6.5142 Å, b = 6.9566 Å, c = 12.5422 Å
α = 100.60°, β = 90.00°, γ = 117.92°
With the nearest neighbours (Å) after each atom.
Positions (direct):
K1 0.8824 0.0000 0.7500  12 Cl 3.64-3.78
K2 0.1176 0.0000 0.2500  12 Cl 3.64-3.78
Ta1 0.5000 0.5000 0.0000  6 Cl 2.37-2.38
Ta2 0.0000 0.5000 0.5000  6 Cl 2.37-2.38
Cl1 0.4621 0.1631 0.8954  1 Ta 2.37
Cl2 0.5379 0.8369 0.1046  1 Ta 2.37
Cl3 0.2990 0.8369 0.6046  1 Ta 2.37
Cl4 0.7010 0.1631 0.3954  1 Ta 2.37
Cl5 0.3720 0.5699 0.8410  1 Ta 2.38
Cl6 0.6280 0.4301 0.1590  1 Ta 2.38
Cl7 0.8021 0.4301 0.6590  1 Ta 2.38
Cl8 0.1979 0.5699 0.3410  1 Ta 2.38
Cl9 0.7987 0.6921 0.4605  1 Ta 2.37
Cl10 0.2013 0.3079 0.5395  1 Ta 2.37
Cl11 0.1066 0.3079 0.0395  1 Ta 2.37
Cl12 0.8934 0.6921 0.9605  1 Ta 2.37

Its space group is No. 15. The calculation puts the formation energy at -1.985 eV per atom. As for the energy: -36.3 eV/f.u.